No. 1
Density functional theory data (PBE) for a geometry-optimized La2P4O13 structure.

```
data_La2P4O13
_chemical_formula_sum 'La8 P16 O52'
_cell_length_a 9.2592
_cell_length_b 10.1628
_cell_length_c 14.3337
_cell_angle_alpha 90.00
_cell_angle_beta 107.14
_cell_angle_gamma 90.00
_space_group_name_H-M_alt 'P 1 21/c 1'
_space_group_IT_number 14
loop_
_space_group_symop_operation_xyz
'x,y,z'
'-x,-y,-z'
'-x,y+1/2,-z+1/2'
'x,-y+1/2,z+1/2'
loop_
_atom_site_label
_atom_site_type_symbol
_atom_site_fract_x
_atom_site_fract_y
_atom_site_fract_z
La1 La 0.0166 0.0048 0.2220
La2 La 0.4526 0.0001 0.2376
P1 P 0.1565 0.2391 0.4400
P2 P 0.2177 0.2098 0.6548
P3 P 0.2912 0.7336 0.3486
P4 P 0.4901 0.2487 0.4432
O1 O 0.0614 0.1384 0.9143
O2 O 0.1194 0.1284 0.3671
O3 O 0.1214 0.1345 0.7060
O4 O 0.1387 0.1817 0.5395
O5 O 0.1508 0.6712 0.3638
O6 O 0.2161 0.1392 0.1712
O7 O 0.2550 0.6397 0.7853
O8 O 0.3314 0.2153 0.9649
O9 O 0.3782 0.1576 0.6763
O10 O 0.3832 0.6350 0.3096
O11 O 0.4005 0.7109 0.9519
O12 O 0.4550 0.6298 0.5957
O13 O 0.4702 0.1261 0.3817
```

Properties
- volume (A^3/atom) = 17.0
- raw total energy (eV per atom) = -7.714
- energy relative to the lowest polymorph listed for this composition (meV/atom) = 25
- energy of formation from the pure elements (eV/atom) = -3.139

***

No. 2
Density functional theory data (PBE) for a geometry-optimized La3PO7 structure.

```
data_La3PO7
_chemical_formula_sum 'La36 P12 O84'
_cell_length_a 13.2847
_cell_length_b 13.6638
_cell_length_c 12.5408
_cell_angle_alpha 90.00
_cell_angle_beta 108.59
_cell_angle_gamma 90.00
_space_group_name_H-M_alt 'C 1 m 1'
_space_group_IT_number 8
loop_
_space_group_symop_operation_xyz
'x,y,z'
'x,-y,z'
'x+1/2,y+1/2,z'
'x+1/2,-y+1/2,z'
loop_
_atom_site_label
_atom_site_type_symbol
_atom_site_fract_x
_atom_site_fract_y
_atom_site_fract_z
La1 La 0.0000 0.1542 0.0000
La2 La 0.0043 0.1550 0.6628
La3 La 0.1427 0.3432 0.8844
La4 La 0.1459 0.3452 0.5455
La5 La 0.1712 0.3280 0.2177
La6 La 0.3188 0.1722 0.4607
La7 La 0.3231 0.1874 0.7728
La8 La 0.3287 0.1710 0.0854
La9 La 0.4759 0.3284 0.3268
P1 P 0.1544 0.0000 0.5068
P2 P 0.1564 0.0000 0.8864
P3 P 0.3181 0.5000 0.4494
P4 P 0.3266 0.5000 0.0883
P5 P 0.4860 0.0000 0.6576
P6 P 0.4882 0.0000 0.0363
O1 O 0.0191 0.5000 0.5484
O2 O 0.0472 0.0000 0.7901
O3 O 0.0514 0.0000 0.4016
O4 O 0.0885 0.5000 0.7615
O5 O 0.0943 0.5000 0.1368
O6 O 0.1335 0.0000 0.0010
O7 O 0.1510 0.2530 0.3849
O8 O 0.1540 0.2723 0.7176
O9 O 0.1600 0.0939 0.5773
O10 O 0.1609 0.2423 0.0507
O11 O 0.2118 0.5000 0.4789
O12 O 0.2185 0.0933 0.8769
O13 O 0.2344 0.5000 0.9751
O14 O 0.2496 0.0000 0.4576
O15 O 0.3199 0.4066 0.3810
O16 O 0.3216 0.2839 0.6098
O17 O 0.3227 0.4059 0.1546
O18 O 0.3244 0.2819 0.9362
O19 O 0.3249 0.2160 0.2730
O20 O 0.3969 0.0000 0.0916
O21 O 0.4135 0.5000 0.5598
O22 O 0.4214 0.0935 0.6597
O23 O 0.4349 0.5000 0.0628
O24 O 0.4784 0.0941 0.9650
O25 O 0.4860 0.2456 0.4960
O26 O 0.4918 0.2717 0.8288
O27 O 0.4967 0.2528 0.1604
```

Properties
- volume (A^3/atom) = 16.3
- raw total energy (eV per atom) = -8.251
- energy of formation from the pure elements (eV/atom) = -3.701

***

No. 3
Density functional theory data (PBE) for a geometry-optimized LaP3O7 structure.

```
data_LaP3O7
_chemical_formula_sum 'La2 P6 O14'
_cell_length_a 6.9352
_cell_length_b 8.2981
_cell_length_c 9.1162
_cell_angle_alpha 114.91
_cell_angle_beta 95.52
_cell_angle_gamma 97.92
_space_group_name_H-M_alt 'P -1'
_space_group_IT_number 2
loop_
_space_group_symop_operation_xyz
'x,y,z'
'-x,-y,-z'
loop_
_atom_site_label
_atom_site_type_symbol
_atom_site_fract_x
_atom_site_fract_y
_atom_site_fract_z
La1 La 0.1194 0.3364 0.2743
P1 P 0.0159 0.1590 0.8042
P2 P 0.3271 0.6320 0.6913
P3 P 0.4562 0.2874 0.6768
O1 O 0.0662 0.0448 0.2758
O2 O 0.1062 0.2329 0.9848
O3 O 0.1853 0.6166 0.5433
O4 O 0.2305 0.6994 0.8428
O5 O 0.3126 0.4059 0.6402
O6 O 0.3389 0.6030 0.2483
O7 O 0.4582 0.2910 0.2964
```

Properties
- volume (A^3/atom) = 21.1
- raw total energy (eV per atom) = -7.304
- energy of formation from the pure elements (eV/atom) = -2.667

***

No. 4
Density functional theory data (PBE) for a geometry-optimized La2P4O13 structure.

```
data_La2P4O13
_chemical_formula_sum 'La8 P16 O52'
_cell_length_a 12.2607
_cell_length_b 7.0582
_cell_length_c 13.4614
_cell_angle_alpha 90.00
_cell_angle_beta 105.76
_cell_angle_gamma 90.00
_space_group_name_H-M_alt 'C 1 2/c 1'
_space_group_IT_number 15
loop_
_space_group_symop_operation_xyz
'x,y,z'
'-x,-y,-z'
'-x,y,-z+1/2'
'x,-y,z+1/2'
'x+1/2,y+1/2,z'
'-x+1/2,-y+1/2,-z'
'-x+1/2,y+1/2,-z+1/2'
'x+1/2,-y+1/2,z+1/2'
loop_
_atom_site_label
_atom_site_type_symbol
_atom_site_fract_x
_atom_site_fract_y
_atom_site_fract_z
La1 La 0.1872 0.0021 0.0511
P1 P 0.0088 0.3582 0.8625
P2 P 0.2321 0.4929 0.6588
O1 O 0.0000 0.2694 0.7500
O2 O 0.0015 0.1900 0.9320
O3 O 0.0987 0.4935 0.6548
O4 O 0.1089 0.4882 0.8943
O5 O 0.2014 0.0067 0.2293
O6 O 0.2459 0.1772 0.4045
O7 O 0.2482 0.3302 0.0976
```

Properties
- volume (A^3/atom) = 14.8
- raw total energy (eV per atom) = -7.736
- energy relative to the lowest polymorph listed for this composition (meV/atom) = 2
- energy of formation from the pure elements (eV/atom) = -3.162

***

No. 5
Density functional theory data (PBE) for a geometry-optimized La2P4O13 structure.

```
data_La2P4O13
_chemical_formula_sum 'La8 P16 O52'
_cell_length_a 7.3480
_cell_length_b 18.2658
_cell_length_c 8.9183
_cell_angle_alpha 90.00
_cell_angle_beta 90.00
_cell_angle_gamma 90.00
_space_group_name_H-M_alt 'C 2 2 21'
_space_group_IT_number 20
loop_
_space_group_symop_operation_xyz
'x,y,z'
'-x,-y,z+1/2'
'x,-y,-z'
'-x,y,-z+1/2'
'x+1/2,y+1/2,z'
'-x+1/2,-y+1/2,z+1/2'
'x+1/2,-y+1/2,-z'
'-x+1/2,y+1/2,-z+1/2'
loop_
_atom_site_label
_atom_site_type_symbol
_atom_site_fract_x
_atom_site_fract_y
_atom_site_fract_z
La1 La 0.2489 0.1468 0.1425
P1 P 0.2151 0.4414 0.2682
P2 P 0.2446 0.1583 0.5053
O1 O 0.0000 0.4378 0.2500
O2 O 0.0829 0.1601 0.3954
O3 O 0.0839 0.3560 0.9089
O4 O 0.2103 0.0861 0.6091
O5 O 0.2280 0.0194 0.2121
O6 O 0.2333 0.1122 0.8892
O7 O 0.2437 0.2756 0.1071
```

Properties
- volume (A^3/atom) = 15.7
- raw total energy (eV per atom) = -7.739
- energy relative to the lowest polymorph listed for this composition (meV/atom) = 0
- energy of formation from the pure elements (eV/atom) = -3.164

***

No. 6
Density functional theory data (PBE) for a geometry-optimized LaP5O14 structure.

```
data_LaP5O14
_chemical_formula_sum 'La4 P20 O56'
_cell_length_a 8.9258
_cell_length_b 9.2757
_cell_length_c 13.2547
_cell_angle_alpha 90.00
_cell_angle_beta 90.56
_cell_angle_gamma 90.00
_space_group_name_H-M_alt 'P 1 21/c 1'
_space_group_IT_number 14
loop_
_space_group_symop_operation_xyz
'x,y,z'
'-x,-y,-z'
'-x,y+1/2,-z+1/2'
'x,-y+1/2,z+1/2'
loop_
_atom_site_label
_atom_site_type_symbol
_atom_site_fract_x
_atom_site_fract_y
_atom_site_fract_z
La1 La 0.2237 0.1879 0.0015
P1 P 0.0092 0.5070 0.7059
P2 P 0.1867 0.7482 0.4997
P3 P 0.2538 0.5466 0.1636
P4 P 0.2748 0.5506 0.8377
P5 P 0.4928 0.0026 0.8226
O1 O 0.0333 0.6882 0.9931
O2 O 0.0820 0.1174 0.8482
O3 O 0.0868 0.1123 0.1526
O4 O 0.0911 0.5681 0.2066
O5 O 0.1301 0.5958 0.7749
O6 O 0.2141 0.5901 0.4989
O7 O 0.2709 0.0937 0.3844
O8 O 0.2752 0.6888 0.0996
O9 O 0.2799 0.0898 0.6090
O10 O 0.2943 0.6818 0.9126
O11 O 0.3643 0.5789 0.2543
O12 O 0.4111 0.5819 0.7660
O13 O 0.4175 0.1131 0.1281
O14 O 0.4219 0.1200 0.8820
```

Properties
- volume (A^3/atom) = 13.7
- raw total energy (eV per atom) = -7.423
- energy of formation from the pure elements (eV/atom) = -2.840

***

No. 7
Density functional theory data (PBE) for a geometry-optimized LaP5O14 structure.

```
data_LaP5O14
_chemical_formula_sum 'La4 P20 O56'
_cell_length_a 13.2677
_cell_length_b 8.9433
_cell_length_c 9.2767
_cell_angle_alpha 90.00
_cell_angle_beta 90.00
_cell_angle_gamma 90.00
_space_group_name_H-M_alt 'P m n a'
_space_group_IT_number 53
loop_
_space_group_symop_operation_xyz
'x,y,z'
'-x,-y,-z'
'-x+1/2,-y,z+1/2'
'x+1/2,y,-z+1/2'
'x,-y,-z'
'-x,y,z'
'-x+1/2,y,-z+1/2'
'x+1/2,-y,z+1/2'
loop_
_atom_site_label
_atom_site_type_symbol
_atom_site_fract_x
_atom_site_fract_y
_atom_site_fract_z
La1 La 0.0000 0.2228 0.1877
P1 P 0.0000 0.1869 0.7519
P2 P 0.1627 0.2645 0.5490
P3 P 0.1771 0.5000 0.0000
P4 P 0.2061 0.0000 0.0000
O1 O 0.0000 0.0341 0.6868
O2 O 0.0000 0.2127 0.9100
O3 O 0.0936 0.2857 0.6862
O4 O 0.1117 0.2759 0.4081
O5 O 0.1230 0.4186 0.1165
O6 O 0.1526 0.0850 0.1147
O7 O 0.2155 0.1100 0.5835
O8 O 0.2443 0.3878 0.5820
```

Properties
- volume (A^3/atom) = 13.8
- raw total energy (eV per atom) = -7.423
- energy of formation from the pure elements (eV/atom) = -2.840